## La7SmTi2V6O24 (PBE with a Hubbard U)

Data for a relaxed structure of La7SmTi2V6O24.

## Properties
The formation energy from the elements is -3.260 eV/atom. Its symmetry is Amm2 (38). The calculation puts the corrected total energy (MP2020 scheme) at -8.968 eV/atom. Its mass density is 6.37 g/cm3.

Structure (POSCAR):
```
La7SmTi2V6O24
1.0
5.607 -5.617 0.000
5.607 5.617 0.000
0.000 0.000 7.894
La Sm Ti V O
7 1 2 6 24
direct
0.254 0.254 0.000
0.747 0.253 0.000
0.253 0.747 0.000
0.746 0.746 0.000
0.747 0.253 0.500
0.253 0.747 0.500
0.746 0.746 0.500
0.255 0.255 0.500
0.001 0.001 0.749
0.001 0.001 0.251
0.500 0.000 0.750
0.000 0.500 0.750
0.500 0.500 0.750
0.500 0.000 0.250
0.000 0.500 0.250
0.500 0.500 0.250
0.000 0.000 0.000
0.500 0.000 0.000
0.000 0.500 0.000
0.500 0.500 0.000
0.001 0.001 0.500
0.498 0.002 0.500
0.002 0.498 0.500
0.497 0.497 0.500
0.002 0.245 0.748
0.499 0.248 0.748
0.000 0.755 0.750
0.499 0.752 0.750
0.002 0.245 0.252
0.499 0.248 0.252
0.000 0.755 0.250
0.499 0.752 0.250
0.245 0.002 0.748
0.755 0.000 0.750
0.248 0.499 0.748
0.752 0.499 0.750
0.245 0.002 0.252
0.755 0.000 0.250
0.248 0.499 0.252
0.752 0.499 0.250
```

=====

## La7SmTiV7O24 (PBE with a Hubbard U)

Data for a relaxed structure of La7SmTiV7O24.

## Properties
The formation energy from the elements is -3.200 eV/atom. Its symmetry is R3m (160). The calculation puts the corrected total energy (MP2020 scheme) at -8.938 eV/atom. Its mass density is 6.37 g/cm3.

Structure (POSCAR):
```
La7SmTiV7O24
1.0
-1.836 3.113 -7.056
-4.757 -6.166 -1.483
-6.071 3.890 3.295
La Sm Ti V O
7 1 1 7 24
direct
0.747 0.253 0.253
0.747 0.253 0.747
0.747 0.747 0.253
0.748 0.748 0.748
0.253 0.253 0.747
0.253 0.747 0.253
0.253 0.747 0.747
0.253 0.253 0.253
0.001 0.001 0.001
0.000 0.000 0.500
0.000 0.500 0.000
0.000 0.500 0.500
0.500 0.000 0.000
0.500 0.000 0.500
0.500 0.500 0.000
0.500 0.500 0.500
0.755 0.000 0.000
0.749 0.000 0.500
0.749 0.500 0.000
0.748 0.501 0.501
0.245 0.001 0.001
0.251 0.002 0.498
0.251 0.498 0.002
0.252 0.497 0.497
0.001 0.245 0.001
0.002 0.251 0.498
0.000 0.755 0.000
0.000 0.749 0.500
0.498 0.251 0.002
0.497 0.252 0.497
0.500 0.749 0.000
0.501 0.748 0.501
0.001 0.001 0.245
0.000 0.000 0.755
0.002 0.498 0.251
0.000 0.500 0.749
0.498 0.002 0.251
0.500 0.000 0.749
0.497 0.497 0.252
0.501 0.501 0.748
```

=====

## La7SmV8O20 (PBE with a Hubbard U)

Data for a relaxed structure of La7SmV8O20.

## Properties
The formation energy from the elements is -2.909 eV/atom. Its symmetry is P1 (1). The calculation puts the corrected total energy (MP2020 scheme) at -8.767 eV/atom. Its mass density is 5.90 g/cm3.

Structure (POSCAR):
```
La7SmV8O20
1.0
-9.599 -1.652 5.373
-4.421 9.486 -5.084
1.756 -12.967 -12.369
La Sm V O
28 4 32 80
direct
0.302 0.062 0.112
0.310 0.064 0.616
0.315 0.561 0.619
0.815 0.062 0.610
0.808 0.564 0.115
0.820 0.562 0.618
0.200 0.438 0.394
0.194 0.440 0.886
0.198 0.941 0.389
0.195 0.943 0.889
0.701 0.438 0.394
0.695 0.940 0.387
0.701 0.937 0.889
0.059 0.299 0.111
0.059 0.302 0.608
0.060 0.799 0.612
0.556 0.304 0.110
0.558 0.304 0.614
0.554 0.798 0.107
0.557 0.799 0.611
0.452 0.203 0.393
0.445 0.196 0.883
0.452 0.701 0.385
0.453 0.691 0.881
0.947 0.198 0.389
0.950 0.195 0.888
0.945 0.699 0.382
0.948 0.699 0.884
0.314 0.565 0.108
0.811 0.064 0.109
0.696 0.439 0.894
0.051 0.798 0.108
0.009 0.000 0.003
0.005 0.996 0.497
0.008 0.501 0.001
0.005 0.503 0.498
0.509 0.002 0.001
0.507 0.998 0.500
0.505 0.500 0.998
0.505 0.504 0.500
0.258 0.254 0.003
0.256 0.249 0.498
0.257 0.752 0.002
0.256 0.750 0.498
0.757 0.252 0.001
0.756 0.250 0.501
0.759 0.752 0.002
0.756 0.750 0.500
0.103 0.095 0.251
0.118 0.112 0.749
0.121 0.595 0.247
0.128 0.613 0.753
0.606 0.099 0.247
0.614 0.101 0.751
0.617 0.606 0.248
0.627 0.602 0.749
0.361 0.405 0.252
0.357 0.384 0.752
0.354 0.900 0.247
0.352 0.884 0.751
0.856 0.399 0.249
0.859 0.396 0.751
0.851 0.895 0.247
0.853 0.888 0.749
0.115 0.115 0.475
0.118 0.117 0.977
0.117 0.621 0.473
0.120 0.613 0.981
0.617 0.112 0.474
0.619 0.113 0.978
0.621 0.622 0.479
0.618 0.614 0.974
0.144 0.395 0.028
0.141 0.387 0.523
0.142 0.885 0.035
0.145 0.883 0.524
0.645 0.390 0.029
0.641 0.388 0.526
0.645 0.895 0.026
0.645 0.882 0.525
0.367 0.109 0.474
0.373 0.112 0.980
0.367 0.618 0.473
0.363 0.609 0.968
0.865 0.108 0.474
0.868 0.111 0.977
0.866 0.617 0.472
0.869 0.606 0.976
0.391 0.397 0.030
0.389 0.391 0.521
0.392 0.897 0.024
0.390 0.885 0.524
0.892 0.395 0.023
0.890 0.391 0.522
0.894 0.896 0.032
0.890 0.880 0.520
0.081 0.111 0.136
0.064 0.105 0.628
0.085 0.611 0.132
0.068 0.608 0.629
0.591 0.110 0.133
0.581 0.110 0.633
0.563 0.610 0.130
0.562 0.608 0.632
0.452 0.395 0.367
0.466 0.390 0.868
0.444 0.892 0.364
0.454 0.894 0.872
0.946 0.391 0.365
0.953 0.392 0.871
0.950 0.893 0.365
0.950 0.896 0.870
0.332 0.276 0.136
0.334 0.273 0.630
0.342 0.776 0.134
0.328 0.772 0.629
0.839 0.275 0.134
0.830 0.277 0.634
0.843 0.775 0.133
0.835 0.773 0.630
0.194 0.220 0.364
0.196 0.230 0.872
0.195 0.727 0.366
0.174 0.733 0.872
0.695 0.222 0.366
0.695 0.228 0.868
0.683 0.728 0.371
0.694 0.727 0.871
0.417 0.076 0.252
0.429 0.057 0.750
0.408 0.576 0.243
0.438 0.551 0.749
0.908 0.072 0.244
0.917 0.068 0.749
0.935 0.563 0.248
0.941 0.558 0.753
0.171 0.422 0.253
0.170 0.431 0.745
0.161 0.919 0.243
0.166 0.934 0.752
0.666 0.426 0.254
0.676 0.424 0.760
0.661 0.927 0.247
0.666 0.927 0.749
```

=====

## La7Ta3W4O30 (PBE with a Hubbard U)

Data for a relaxed structure of La7Ta3W4O30.

## Properties
The formation energy from the elements is -3.270 eV/atom. Its symmetry is P-1 (2). The calculation puts the corrected total energy (MP2020 scheme) at -9.415 eV/atom. Its mass density is 7.56 g/cm3.

Structure (POSCAR):
```
La7Ta3W4O30
1.0
6.951 0.000 0.000
-2.254 9.986 0.000
-2.350 -4.983 8.637
La Ta W O
7 3 4 30
direct
0.636 0.760 0.192
0.877 0.435 0.234
0.449 0.814 0.567
0.364 0.240 0.808
0.123 0.565 0.766
0.551 0.186 0.433
0.000 0.000 0.000
0.500 0.000 0.000
0.852 0.214 0.830
0.148 0.786 0.170
0.641 0.621 0.788
0.018 0.166 0.377
0.359 0.379 0.212
0.982 0.834 0.623
0.068 0.281 0.057
0.784 0.773 0.719
0.009 0.949 0.225
0.932 0.719 0.943
0.216 0.227 0.281
0.991 0.051 0.775
0.736 0.344 0.957
0.397 0.612 0.656
0.788 0.046 0.392
0.264 0.656 0.043
0.603 0.388 0.344
0.212 0.954 0.608
0.056 0.335 0.792
0.713 0.461 0.664
0.251 0.203 0.537
0.944 0.665 0.208
0.287 0.539 0.336
0.749 0.797 0.463
0.615 0.135 0.649
0.492 0.518 0.866
0.971 0.347 0.480
0.385 0.865 0.351
0.508 0.482 0.134
0.029 0.653 0.520
0.785 0.138 0.175
0.638 0.032 0.859
0.607 0.823 0.963
0.215 0.862 0.825
0.362 0.968 0.141
0.393 0.177 0.037
```

=====

## LaV3TeO15 (PBE with a Hubbard U)

Data for a relaxed structure of LaV3TeO15.

## Properties
The formation energy from the elements is -1.750 eV/atom. Its symmetry is R3c (161). The calculation puts the corrected total energy (MP2020 scheme) at -7.227 eV/atom. Its mass density is 3.42 g/cm3.

Structure (POSCAR):
```
LaV3TeO15
1.0
2.293 5.673 7.651
-6.470 6.235 3.904
-3.888 -1.502 8.866
La V Te O
2 6 2 30
direct
0.231 0.231 0.231
0.731 0.731 0.731
0.127 0.658 0.284
0.284 0.127 0.658
0.658 0.284 0.127
0.784 0.158 0.627
0.627 0.784 0.158
0.158 0.627 0.784
0.955 0.955 0.955
0.455 0.455 0.455
0.331 0.603 0.296
0.296 0.331 0.603
0.603 0.296 0.331
0.796 0.103 0.831
0.831 0.796 0.103
0.103 0.831 0.796
0.816 0.078 0.115
0.115 0.816 0.078
0.078 0.115 0.816
0.615 0.578 0.316
0.316 0.615 0.578
0.578 0.316 0.615
0.956 0.725 0.447
0.447 0.956 0.725
0.725 0.447 0.956
0.947 0.225 0.456
0.456 0.947 0.225
0.225 0.456 0.947
0.115 0.486 0.302
0.302 0.115 0.486
0.486 0.302 0.115
0.802 0.986 0.615
0.615 0.802 0.986
0.986 0.615 0.802
0.298 0.161 0.985
0.985 0.298 0.161
0.161 0.985 0.298
0.485 0.661 0.798
0.798 0.485 0.661
0.661 0.798 0.485
```

=====

## La2Ti3VO10 (PBE with a Hubbard U)

Data for a relaxed structure of La2Ti3VO10.

## Properties
The formation energy from the elements is -3.429 eV/atom. Its symmetry is I-4m2 (119). The calculation puts the corrected total energy (MP2020 scheme) at -9.187 eV/atom. Its mass density is 5.29 g/cm3.

Structure (POSCAR):
```
La2Ti3VO10
1.0
-1.951 1.951 13.034
1.951 -1.951 13.034
1.951 1.951 -13.034
La Ti V O
2 3 1 10
direct
0.582 0.582 0.000
0.418 0.418 0.000
0.842 0.842 0.000
0.158 0.158 0.000
0.000 0.000 0.000
0.250 0.750 0.500
0.771 0.771 0.000
0.229 0.229 0.000
0.926 0.926 0.000
0.074 0.074 0.000
0.355 0.855 0.500
0.857 0.357 0.500
0.643 0.143 0.500
0.145 0.645 0.500
0.500 0.000 0.500
0.000 0.500 0.500
```

=====

## LaVO4 (PBE with a Hubbard U)

Data for a relaxed structure of LaVO4.

## Properties
The formation energy from the elements is -3.225 eV/atom. Its symmetry is I4_1/amd (141). The calculation puts the corrected total energy (MP2020 scheme) at -8.860 eV/atom. Its mass density is 4.50 g/cm3.

Structure (POSCAR):
```
LaVO4
1.0
-3.768 3.768 3.300
3.768 -3.768 3.300
3.768 3.768 -3.300
La V O
2 2 8
direct
0.000 0.000 0.000
0.250 0.750 0.500
0.750 0.250 0.500
0.500 0.500 0.000
0.331 0.509 0.178
0.403 0.081 0.322
0.759 0.081 0.678
0.331 0.153 0.822
0.847 0.669 0.178
0.919 0.241 0.322
0.919 0.597 0.678
0.491 0.669 0.822
```

=====

## LaVO3 (PBE with a Hubbard U)

Data for a relaxed structure of LaVO3.

## Properties
The formation energy from the elements is -3.102 eV/atom. Its symmetry is Pm-3m (221). The calculation puts the corrected total energy (MP2020 scheme) at -8.875 eV/atom. Its mass density is 6.41 g/cm3.

Structure (POSCAR):
```
LaVO3
1.0
3.950 0.000 0.000
0.000 3.950 0.000
0.000 0.000 3.950
La V O
1 1 3
direct
0.500 0.500 0.500
0.000 0.000 0.000
0.500 0.000 0.000
0.000 0.500 0.000
0.000 0.000 0.500
```

=====

## LaV2O2 (PBE with a Hubbard U)

Data for a relaxed structure of LaV2O2.

## Properties
The formation energy from the elements is -1.254 eV/atom. Its symmetry is I4_1/amd (141). The calculation puts the corrected total energy (MP2020 scheme) at -7.854 eV/atom. Its mass density is 4.23 g/cm3.

Structure (POSCAR):
```
LaV2O2
1.0
-6.119 -5.364 -2.077
0.008 3.548 -7.612
7.211 -3.109 2.976
La V O
4 8 8
direct
0.875 0.125 0.250
0.875 0.625 0.750
0.375 0.125 0.250
0.875 0.125 0.750
0.566 0.393 0.826
0.566 0.740 0.174
0.490 0.816 0.674
0.184 0.510 0.326
0.184 0.857 0.674
0.143 0.816 0.326
0.260 0.434 0.826
0.607 0.434 0.174
0.666 0.327 0.660
0.666 0.006 0.340
0.756 0.916 0.840
0.084 0.244 0.160
0.084 0.923 0.840
0.077 0.916 0.160
0.994 0.334 0.660
0.673 0.334 0.340
```